Entry 1:
VASP calculation (GGA+U) on a geometry-optimized WO3 structure.

## Properties
total moment	0.00	μB/cell

```
data_WO3
_chemical_formula_sum 'W4 O12'
_cell_length_a 3.8803
_cell_length_b 7.6759
_cell_length_c 7.7884
_cell_angle_alpha 90.00
_cell_angle_beta 90.08
_cell_angle_gamma 90.00
_space_group_name_H-M_alt 'P 1 21/m 1'
_space_group_IT_number 11
loop_
_space_group_symop_operation_xyz
'x,y,z'
'-x,-y,-z'
'-x,y+1/2,-z'
'x,-y+1/2,z'
loop_
_atom_site_label
_atom_site_fract_x
_atom_site_fract_y
_atom_site_fract_z
W1 0.0300 0.2500 0.4791
W2 0.0323 0.2500 0.9790
O1 0.0000 0.0000 0.0000
O2 0.0000 0.0000 0.5000
O3 0.0036 0.2500 0.2426
O4 0.0060 0.2500 0.7428
O5 0.4905 0.7500 0.0078
O6 0.4922 0.7500 0.5080
```


Entry 2:
VASP calculation (GGA+U) on a geometry-optimized WO2 structure.

## Properties
total moment	32.00	μB/cell

```
data_WO2
_chemical_formula_sum 'W16 O32'
_cell_length_a 5.7031
_cell_length_b 5.7284
_cell_length_c 20.3178
_cell_angle_alpha 89.56
_cell_angle_beta 89.44
_cell_angle_gamma 70.03
_space_group_name_H-M_alt 'P 1'
_space_group_IT_number 1
loop_
_space_group_symop_operation_xyz
'x,y,z'
loop_
_atom_site_label
_atom_site_fract_x
_atom_site_fract_y
_atom_site_fract_z
W1 0.0000 0.0000 0.0000
W2 0.0004 0.4822 0.6196
W3 0.0007 0.9699 0.7379
W4 0.0065 0.9839 0.4995
W5 0.0106 0.4887 0.3803
W6 0.0271 0.9851 0.2611
W7 0.0283 0.5052 0.1283
W8 0.2084 0.6825 0.8704
W9 0.4976 0.9817 0.6181
W10 0.5005 0.4778 0.7388
W11 0.5067 0.4826 0.4993
W12 0.5075 0.5044 0.2611
W13 0.5115 0.9890 0.3797
W14 0.5184 0.9947 0.8679
W15 0.5243 0.4759 0.0001
W16 0.7161 0.1918 0.1326
O1 0.0653 0.1555 0.0881
O2 0.1330 0.5997 0.7751
O3 0.1512 0.1300 0.5729
O4 0.1541 0.6309 0.5460
O5 0.1558 0.6350 0.3077
O6 0.1604 0.1387 0.3356
O7 0.1651 0.6423 0.0460
O8 0.1686 0.0306 0.8254
O9 0.3439 0.8320 0.6915
O10 0.3450 0.3320 0.6645
O11 0.3603 0.8368 0.4532
O12 0.3614 0.3374 0.4261
O13 0.3631 0.8386 0.9487
O14 0.3669 0.8427 0.2228
O15 0.3750 0.3740 0.1749
O16 0.3906 0.3500 0.9145
O17 0.5588 0.6428 0.8252
O18 0.6315 0.1095 0.0388
O19 0.6529 0.1216 0.7881
O20 0.6528 0.1307 0.5457
O21 0.6568 0.6266 0.5737
O22 0.6604 0.6385 0.3356
O23 0.6615 0.1401 0.3030
O24 0.6795 0.5406 0.0881
O25 0.8395 0.8392 0.6654
O26 0.8464 0.3351 0.6959
O27 0.8576 0.3354 0.4537
O28 0.8599 0.8386 0.4262
O29 0.8646 0.3385 0.9627
O30 0.8699 0.3457 0.2101
O31 0.8730 0.8655 0.9143
O32 0.8970 0.8519 0.1748
```


Number 1: DFT formation energy -2.184 eV per atom, total DFT energy (no corrections) -120.150 eV/cell. Number 2: DFT formation energy -1.905 eV per atom, total DFT energy (no corrections) -364.117 eV/cell.